Material: CsY10C4I18
Method: DFT, PBE
State: relaxed

Cell: 11.3291 11.3846 11.5027 Å, 66.74 87.19 60.67°
Fractional coordinates of all 33 atoms:
1 Cs 0.0000 0.0000 0.0000
2 Y 0.1753 0.2764 0.2102
3 Y 0.2225 0.3531 0.4847
4 Y 0.3938 0.9441 0.4993
5 Y 0.4074 0.3931 0.2080
6 Y 0.4650 0.9623 0.8237
7 Y 0.5350 0.0377 0.1763
8 Y 0.5926 0.6069 0.7920
9 Y 0.6062 0.0559 0.5007
10 Y 0.7775 0.6469 0.5153
11 Y 0.8247 0.7236 0.7898
12 C 0.3483 0.2203 0.3787
13 C 0.4229 0.1453 0.3029
14 C 0.5771 0.8547 0.6971
15 C 0.6517 0.7797 0.6213
16 I 0.0532 0.5291 0.6685
17 I 0.1122 0.0394 0.3413
18 I 0.1417 0.5675 0.9989
19 I 0.1811 0.0955 0.6705
20 I 0.2380 0.6253 0.3173
21 I 0.2750 0.1442 0.9989
22 I 0.3340 0.6878 0.6535
23 I 0.4328 0.7006 0.0030
24 I 0.4773 0.2454 0.6706
25 I 0.5227 0.7546 0.3294
26 I 0.5672 0.2994 0.9970
27 I 0.6660 0.3122 0.3465
28 I 0.7250 0.8558 0.0011
29 I 0.7620 0.3747 0.6827
30 I 0.8189 0.9045 0.3295
31 I 0.8583 0.4325 0.0011
32 I 0.8878 0.9606 0.6587
33 I 0.9468 0.4709 0.3315

Output
As for the calculated volume: 1168.77 Å³ per cell. The space-group type is P-1. Its total energy is -5.1879 eV per atom.